(1)
{"formula": "SmLuIn2", "functional": "r²SCAN", "state": "relaxed", "sg": "Fm-3m (225)", "final_energy_ev_per_atom": -28.8007, "ef_ev_per_atom": -0.558, "lattice_angstrom": [[0.000, 3.744, 3.744], [3.744, 0.000, 3.744], [3.744, 3.744, 0.000]], "species": ["Sm", "Lu", "In", "In"], "frac_coords": [[0.000, 0.000, 0.000], [0.500, 0.500, 0.500], [0.250, 0.250, 0.250], [0.750, 0.750, 0.750]]}



(2)
{"formula": "Al2CdS4", "functional": "r²SCAN", "state": "relaxed", "sg": "I-4 (82)", "final_energy_ev_per_atom": -10.5337, "ef_ev_per_atom": -1.147, "lattice_angstrom": [[-2.795, 2.795, 5.086], [2.795, -2.795, 5.086], [2.795, 2.795, -5.086]], "species": ["Al", "Al", "Cd", "S", "S", "S", "S"], "frac_coords": [[0.000, 0.000, 0.000], [0.750, 0.250, 0.500], [0.250, 0.750, 0.500], [0.104, 0.620, 0.956], [0.380, 0.336, 0.485], [0.664, 0.149, 0.044], [0.851, 0.896, 0.515]]}



(3)
{"formula": "Ce3Si2Ni6", "functional": "r²SCAN", "state": "relaxed", "sg": "Im-3m (229)", "final_energy_ev_per_atom": -17.0947, "ef_ev_per_atom": -0.553, "lattice_angstrom": [[-4.381, 4.381, 4.381], [4.381, -4.381, 4.381], [4.381, 4.381, -4.381]], "species": ["Ce", "Ce", "Ce", "Ce", "Ce", "Ce", "Si", "Si", "Si", "Si", "Ni", "Ni", "Ni", "Ni", "Ni", "Ni", "Ni", "Ni", "Ni", "Ni", "Ni", "Ni"], "frac_coords": [[0.000, 0.281, 0.281], [0.000, 0.719, 0.719], [0.281, 0.000, 0.281], [0.281, 0.281, 0.000], [0.719, 0.000, 0.719], [0.719, 0.719, 0.000], [0.000, 0.000, 0.500], [0.000, 0.500, 0.000], [0.500, 0.000, 0.000], [0.500, 0.500, 0.500], [0.000, 0.337, 0.663], [0.000, 0.663, 0.337], [0.326, 0.663, 0.663], [0.337, 0.000, 0.663], [0.337, 0.337, 0.674], [0.337, 0.663, 0.000], [0.337, 0.674, 0.337], [0.663, 0.000, 0.337], [0.663, 0.326, 0.663], [0.663, 0.337, 0.000], [0.663, 0.663, 0.326], [0.674, 0.337, 0.337]]}



(4)
{"formula": "KNaCl2", "functional": "r²SCAN", "state": "relaxed", "sg": "R-3m (166)", "final_energy_ev_per_atom": -7.5590, "ef_ev_per_atom": -2.087, "lattice_angstrom": [[2.086, 1.205, 6.949], [-2.086, 1.205, 6.949], [0.000, -2.409, 6.949]], "species": ["K", "Na", "Cl", "Cl"], "frac_coords": [[0.000, 0.000, 0.000], [0.500, 0.500, 0.500], [0.240, 0.240, 0.240], [0.760, 0.760, 0.760]]}



(5)
{"formula": "NaDyO2", "functional": "r²SCAN", "state": "relaxed", "sg": "R-3m (166)", "final_energy_ev_per_atom": -14.9626, "ef_ev_per_atom": -3.090, "lattice_angstrom": [[1.698, 0.981, 5.475], [-1.698, 0.981, 5.475], [0.000, -1.961, 5.475]], "species": ["Na", "Dy", "O", "O"], "frac_coords": [[0.000, 0.000, 0.000], [0.500, 0.500, 0.500], [0.238, 0.238, 0.238], [0.762, 0.762, 0.762]]}



(6)
{"formula": "Mn2GeSe4", "functional": "r²SCAN", "state": "relaxed", "sg": "Pnma (62)", "final_energy_ev_per_atom": -15.0488, "ef_ev_per_atom": -0.694, "lattice_angstrom": [[13.440, 0.000, 0.000], [0.000, 7.810, 0.000], [0.000, 0.000, 6.345]], "species": ["Mn", "Mn", "Mn", "Mn", "Mn", "Mn", "Mn", "Mn", "Ge", "Ge", "Ge", "Ge", "Se", "Se", "Se", "Se", "Se", "Se", "Se", "Se", "Se", "Se", "Se", "Se", "Se", "Se", "Se", "Se"], "frac_coords": [[0.000, 0.000, 0.000], [0.000, 0.500, 0.000], [0.233, 0.250, 0.499], [0.267, 0.750, 0.999], [0.500, 0.000, 0.500], [0.500, 0.500, 0.500], [0.733, 0.250, 0.001], [0.767, 0.750, 0.501], [0.088, 0.750, 0.412], [0.412, 0.250, 0.912], [0.588, 0.750, 0.088], [0.912, 0.250, 0.588], [0.073, 0.250, 0.748], [0.092, 0.750, 0.781], [0.168, 0.514, 0.247], [0.168, 0.986, 0.247], [0.332, 0.014, 0.747], [0.332, 0.486, 0.747], [0.408, 0.250, 0.281], [0.427, 0.750, 0.248], [0.573, 0.250, 0.752], [0.592, 0.750, 0.719], [0.668, 0.514, 0.253], [0.668, 0.986, 0.253], [0.832, 0.014, 0.753], [0.832, 0.486, 0.753], [0.908, 0.250, 0.219], [0.927, 0.750, 0.252]]}



(7)
{"formula": "Hf6CCl14", "functional": "r²SCAN", "state": "relaxed", "sg": "Cmce (64)", "final_energy_ev_per_atom": -19.4191, "ef_ev_per_atom": -1.943, "lattice_angstrom": [[6.992, -6.305, 0.000], [6.992, 6.305, 0.000], [0.000, 0.000, 11.413]], "species": ["Hf", "Hf", "Hf", "Hf", "Hf", "Hf", "Hf", "Hf", "Hf", "Hf", "Hf", "Hf", "C", "C", "Cl", "Cl", "Cl", "Cl", "Cl", "Cl", "Cl", "Cl", "Cl", "Cl", "Cl", "Cl", "Cl", "Cl", "Cl", "Cl", "Cl", "Cl", "Cl", "Cl", "Cl", "Cl", "Cl", "Cl", "Cl", "Cl", "Cl", "Cl"], "frac_coords": [[0.046, 0.183, 0.883], [0.146, 0.854, 0.895], [0.183, 0.046, 0.117], [0.317, 0.454, 0.617], [0.354, 0.646, 0.395], [0.454, 0.317, 0.383], [0.546, 0.683, 0.617], [0.646, 0.354, 0.605], [0.683, 0.546, 0.383], [0.817, 0.954, 0.883], [0.854, 0.146, 0.105], [0.954, 0.817, 0.117], [0.000, 0.000, 0.000], [0.500, 0.500, 0.500], [0.034, 0.213, 0.248], [0.100, 0.400, 0.750], [0.117, 0.635, 0.010], [0.135, 0.617, 0.510], [0.156, 0.844, 0.264], [0.213, 0.034, 0.752], [0.250, 0.250, 0.000], [0.250, 0.250, 0.500], [0.287, 0.466, 0.252], [0.344, 0.656, 0.764], [0.365, 0.883, 0.010], [0.383, 0.865, 0.510], [0.400, 0.100, 0.250], [0.466, 0.287, 0.748], [0.534, 0.713, 0.252], [0.600, 0.900, 0.750], [0.617, 0.135, 0.490], [0.635, 0.117, 0.990], [0.656, 0.344, 0.236], [0.713, 0.534, 0.748], [0.750, 0.750, 0.000], [0.750, 0.750, 0.500], [0.787, 0.966, 0.248], [0.844, 0.156, 0.736], [0.865, 0.383, 0.490], [0.883, 0.365, 0.990], [0.900, 0.600, 0.250], [0.966, 0.787, 0.752]]}



(8)
{"formula": "VP", "functional": "r²SCAN", "state": "relaxed", "sg": "P6_3/mmc (194)", "final_energy_ev_per_atom": -12.4073, "ef_ev_per_atom": -0.862, "lattice_angstrom": [[3.153, 0.000, 0.000], [-1.576, 2.730, 0.000], [0.000, 0.000, 6.185]], "species": ["V", "V", "P", "P"], "frac_coords": [[0.000, 0.000, 0.000], [0.000, 0.000, 0.500], [0.333, 0.667, 0.250], [0.667, 0.333, 0.750]]}